## one
{"formula": "Sr3Li4Nb6O20", "functional": "PBE-GGA", "state": "optimized geometry", "lattice": [[5.6654, 0.0000, 0.0000], [-0.0075, 5.6654, 0.0000], [-2.8094, -0.0226, 13.2914]], "species": ["Sr", "Sr", "Sr", "Li", "Li", "Li", "Li", "Nb", "Nb", "Nb", "Nb", "Nb", "Nb", "O", "O", "O", "O", "O", "O", "O", "O", "O", "O", "O", "O", "O", "O", "O", "O", "O", "O", "O", "O"], "frac_coords": [[0.5770, 0.0008, 0.1556], [0.4129, 0.0020, 0.8305], [0.0790, 0.4990, 0.1560], [0.5012, 0.7506, 0.5040], [0.0029, 0.7504, 0.5044], [0.5016, 0.2493, 0.5044], [0.0025, 0.2494, 0.5040], [0.8413, 0.0004, 0.6843], [0.5013, 0.4975, 0.9937], [0.6566, 0.5006, 0.3143], [0.9993, 0.9955, 0.9937], [0.1564, 0.0005, 0.3141], [0.3415, 0.5007, 0.6843], [0.9274, 0.9971, 0.8511], [0.7819, 0.7228, 0.0088], [0.8994, 0.7498, 0.2981], [0.7712, 0.9997, 0.5417], [0.2845, 0.7669, 0.0060], [0.9007, 0.2499, 0.2983], [0.5788, 0.4964, 0.1526], [0.7288, 0.4999, 0.4570], [0.5915, 0.7570, 0.6974], [0.3993, 0.7485, 0.2983], [0.0803, 0.9980, 0.1526], [0.2286, 0.9997, 0.4568], [0.7365, 0.2189, 0.0060], [0.2542, 0.2497, 0.0073], [0.4002, 0.2492, 0.2985], [0.1053, 0.7563, 0.6970], [0.4284, 0.4981, 0.8511], [0.5919, 0.2429, 0.6970], [0.2710, 0.4996, 0.5417], [0.1057, 0.2429, 0.6976]]}

## two
{"formula": "Sr3Li4Nb6O20", "functional": "PBE-GGA", "state": "optimized geometry", "lattice": [[-3.8457, 3.4856, -12.5891], [-1.5443, -5.2040, 12.4883], [-1.6506, 5.0656, 1.9068]], "species": ["Sr", "Sr", "Sr", "Li", "Li", "Li", "Li", "Nb", "Nb", "Nb", "Nb", "Nb", "Nb", "O", "O", "O", "O", "O", "O", "O", "O", "O", "O", "O", "O", "O", "O", "O", "O", "O", "O", "O", "O"], "frac_coords": [[0.9158, 0.0842, 0.5000], [0.0774, 0.9226, 0.5000], [0.5770, 0.4230, 0.0000], [0.5022, 0.9988, 0.2504], [0.0012, 0.4978, 0.7496], [0.0012, 0.4978, 0.2504], [0.5022, 0.9988, 0.7496], [0.8425, 0.1575, 0.0000], [0.3425, 0.6575, 0.5000], [0.6567, 0.3433, 0.5000], [0.1568, 0.8432, 0.0000], [0.4967, 0.5033, 0.5000], [0.9967, 0.0033, 0.0000], [0.9257, 0.0743, 0.0000], [0.4257, 0.5743, 0.5000], [0.5762, 0.4238, 0.5000], [0.0762, 0.9238, 0.0000], [0.0925, 0.3933, 0.2571], [0.6067, 0.9075, 0.7429], [0.6067, 0.9075, 0.2571], [0.0925, 0.3933, 0.7429], [0.3992, 0.1013, 0.2498], [0.8987, 0.6008, 0.7502], [0.8987, 0.6008, 0.2498], [0.3992, 0.1013, 0.7502], [0.2473, 0.2401, 0.2563], [0.7599, 0.7527, 0.7437], [0.7599, 0.7527, 0.2563], [0.2473, 0.2401, 0.7437], [0.7714, 0.2286, 0.0000], [0.2714, 0.7286, 0.5000], [0.7280, 0.2720, 0.5000], [0.2280, 0.7720, 0.0000]]}

What is the most stable structure shown above? It is one.